This record from the Materials Project describes a relaxed structure of Dy2FeGe4. The functional is PBE.

It has space group Amm2 (No. 38), with a = 4.169 Å, b = 4.221 Å, c = 15.400 Å, α = 90.00°, β = 90.00° and γ = 90.00°. The asymmetric unit holds Dy at (0.000, 0.000, 0.000), Dy at (0.500, 0.000, 0.202), Fe at (0.000, 0.000, 0.798), Ge at (0.000, 0.000, 0.358), Ge at (0.000, 0.000, 0.649), Ge at (0.500, 0.000, 0.538) and Ge at (0.500, 0.000, 0.860).

The value obtained for the energy of formation is -4.050 eV per formula unit.

This record from the Materials Project describes a relaxed structure of DyFe6Ge6. The functional is PBE.

It has space group Cmcm (No. 63), with a = 8.150 Å, b = 17.651 Å, c = 5.132 Å, α = 90.00°, β = 90.00° and γ = 90.00°. The asymmetric unit holds Dy at (0.000, 0.127, 0.250), Fe at (0.250, 0.000, 0.000), Fe at (0.250, 0.125, 0.750), Fe at (0.250, 0.250, 0.000), Ge at (0.000, 0.042, 0.750), Ge at (0.000, 0.211, 0.750), Ge at (0.000, 0.295, 0.250), Ge at (0.000, 0.459, 0.250) and Ge at (0.154, 0.376, 0.750).

The value obtained for the energy of formation is -3.611 eV per formula unit.

This record from the Materials Project describes a relaxed structure of DyFe4Ge2. The functional is PBE.

It has space group P4_2/mnm (No. 136), with a = 7.262 Å, b = 7.262 Å, c = 3.864 Å, α = 90.00°, β = 90.00° and γ = 90.00°. The asymmetric unit holds Dy at (0.000, 0.000, 0.000), Fe at (0.091, 0.356, 0.500) and Ge at (0.215, 0.785, 0.500).

The value obtained for the energy of formation is -2.044 eV per formula unit.

This record from the Materials Project describes a relaxed structure of DyFe6Sn4Ge2. The functional is PBE.

It has space group P6/mmm (No. 191), with a = 5.2879 Å, b = 5.2879 Å, c = 8.6816 Å, α = 90.00°, β = 90.00° and γ = 120.00°. The asymmetric unit holds Dy at (0.0000, 0.0000, 0.0000), Fe at (0.0000, 0.5000, 0.2324), Sn at (0.0000, 0.0000, 0.3371), Sn at (0.3333, 0.6667, 0.5000) and Ge at (0.3333, 0.6667, 0.0000).

The value obtained for the energy of formation is -2.432 eV per formula unit.

This record from the Materials Project describes a relaxed structure of Dy2Fe17N3. The functional is PBE.

It has space group P6_3/mmc (No. 194), with a = 8.6429 Å, b = 8.6429 Å, c = 8.3842 Å, α = 90.00°, β = 90.00° and γ = 120.00°. The asymmetric unit holds Dy at (0.0000, 0.0000, 0.2500), Dy at (0.3333, 0.6667, 0.2500), Fe at (0.0000, 0.5000, 0.0000), Fe at (0.0524, 0.3810, 0.7500), Fe at (0.1692, 0.3385, 0.0205), Fe at (0.3333, 0.6667, 0.6078) and N at (0.1645, 0.3289, 0.2500).

The value obtained for the energy of formation is -6.136 eV per formula unit.

This record from the Materials Project describes a relaxed structure of Dy2Fe17N3. The functional is PBE.

It has space group R-3m (No. 166, hexagonal axes), with a = 8.5993 Å, b = 8.5993 Å, c = 12.5741 Å, α = 90.00°, β = 90.00° and γ = 120.00°. The asymmetric unit holds Dy at (0.0000, 0.0000, 0.1585), Fe at (0.0000, 0.0000, 0.4049), Fe at (0.0000, 0.2824, 0.5000), Fe at (0.0000, 0.5000, 0.0000), Fe at (0.0083, 0.5042, 0.3471) and N at (0.0000, 0.5000, 0.5000).

The value obtained for the energy of formation is -6.131 eV per formula unit.

This record from the Materials Project describes a relaxed structure of Dy2Nb2Fe15. The functional is PBE.

It has space group P6_3/mmc (No. 194), with a = 8.4922 Å, b = 8.4922 Å, c = 8.4750 Å, α = 90.00°, β = 90.00° and γ = 120.00°. The asymmetric unit holds Dy at (0.0000, 0.0000, 0.2500), Dy at (0.3333, 0.6667, 0.2500), Nb at (0.3333, 0.6667, 0.5991), Fe at (0.0000, 0.5000, 0.0000), Fe at (0.0284, 0.3582, 0.7500) and Fe at (0.1630, 0.3259, 0.0116).

The value obtained for the energy of formation is -0.320 eV per formula unit.

This record from the Materials Project describes a relaxed structure of DyFeNi4. The functional is PBE.

It has space group P-6m2 (No. 187), with a = 4.9310 Å, b = 4.9310 Å, c = 3.9310 Å, α = 90.00°, β = 90.00° and γ = 120.00°. The asymmetric unit holds Dy at (0.0000, 0.0000, 0.0000), Fe at (0.3333, 0.6667, 0.0000), Ni at (0.5003, 0.0007, 0.5000) and Ni at (0.6667, 0.3333, 0.0000).

The value obtained for the energy of formation is -1.524 eV per formula unit.